Record 1
{"formula": "Cs4GeP4S12", "functional": "r²SCAN", "state": "relaxed", "dft_energy_ha_per_atom": -0.4621, "volume_a3_per_cell": 1306.5, "spacegroup": "C2/c", "ef_ev_per_atom": -0.82, "lattice": [[6.441, -4.225, 0.000], [6.441, 4.225, 0.000], [-5.235, 0.000, 24.006]], "species": ["Cs", "Cs", "Cs", "Cs", "Cs", "Cs", "Cs", "Cs", "Ge", "Ge", "P", "P", "P", "P", "P", "P", "P", "P", "S", "S", "S", "S", "S", "S", "S", "S", "S", "S", "S", "S", "S", "S", "S", "S", "S", "S", "S", "S", "S", "S", "S", "S"], "frac_coords": [[0.038, 0.150, 0.187], [0.150, 0.038, 0.687], [0.294, 0.323, 0.450], [0.323, 0.294, 0.950], [0.677, 0.706, 0.050], [0.706, 0.677, 0.550], [0.850, 0.962, 0.313], [0.962, 0.850, 0.813], [0.495, 0.505, 0.250], [0.505, 0.495, 0.750], [0.233, 0.599, 0.132], [0.289, 0.426, 0.616], [0.401, 0.767, 0.368], [0.426, 0.289, 0.116], [0.574, 0.711, 0.884], [0.599, 0.233, 0.632], [0.711, 0.574, 0.384], [0.767, 0.401, 0.868], [0.024, 0.628, 0.173], [0.145, 0.269, 0.579], [0.173, 0.713, 0.062], [0.224, 0.508, 0.703], [0.259, 0.649, 0.581], [0.269, 0.145, 0.079], [0.287, 0.827, 0.438], [0.300, 0.567, 0.314], [0.351, 0.741, 0.919], [0.372, 0.976, 0.327], [0.433, 0.700, 0.186], [0.492, 0.776, 0.797], [0.508, 0.224, 0.203], [0.567, 0.300, 0.814], [0.628, 0.024, 0.673], [0.649, 0.259, 0.081], [0.700, 0.433, 0.686], [0.713, 0.173, 0.562], [0.731, 0.855, 0.921], [0.741, 0.351, 0.419], [0.776, 0.492, 0.297], [0.827, 0.287, 0.938], [0.855, 0.731, 0.421], [0.976, 0.372, 0.827]]}

=====

Record 2
{"formula": "HfO2", "functional": "r²SCAN", "state": "relaxed", "dft_energy_ha_per_atom": -0.8416, "volume_a3_per_cell": 74.3, "spacegroup": "P4_2/mnm", "ef_ev_per_atom": -3.87, "lattice": [[4.814, 0.000, 0.000], [0.000, 4.814, 0.000], [0.000, 0.000, 3.205]], "species": ["Hf", "Hf", "O", "O", "O", "O"], "frac_coords": [[0.000, 0.000, 0.000], [0.500, 0.500, 0.500], [0.195, 0.195, 0.500], [0.305, 0.695, 0.000], [0.695, 0.305, 0.000], [0.805, 0.805, 0.500]]}

=====

Record 3
{"formula": "NbOF3", "functional": "r²SCAN", "state": "relaxed", "dft_energy_ha_per_atom": -0.4083, "volume_a3_per_cell": 267.9, "spacegroup": "P2_12_12_1", "ef_ev_per_atom": -3.09, "lattice": [[4.978, 0.000, 0.000], [0.000, 5.770, 0.000], [0.000, 0.000, 9.328]], "species": ["Nb", "Nb", "Nb", "Nb", "O", "O", "O", "O", "F", "F", "F", "F", "F", "F", "F", "F", "F", "F", "F", "F"], "frac_coords": [[0.150, 0.084, 0.142], [0.350, 0.916, 0.642], [0.650, 0.416, 0.858], [0.850, 0.584, 0.358], [0.013, 0.372, 0.244], [0.487, 0.628, 0.744], [0.513, 0.128, 0.756], [0.987, 0.872, 0.256], [0.019, 0.882, 0.738], [0.150, 0.657, 0.497], [0.208, 0.118, 0.501], [0.292, 0.882, 0.001], [0.350, 0.343, 0.997], [0.481, 0.118, 0.238], [0.519, 0.618, 0.262], [0.650, 0.843, 0.503], [0.708, 0.382, 0.499], [0.792, 0.618, 0.999], [0.850, 0.157, 0.003], [0.981, 0.382, 0.762]]}

=====

Record 4
{"formula": "MnMoN2", "functional": "r²SCAN", "state": "relaxed", "dft_energy_ha_per_atom": -0.5652, "volume_a3_per_cell": 82.3, "spacegroup": "P6_3/mmc", "ef_ev_per_atom": -0.63, "lattice": [[2.925, 0.000, 0.000], [-1.462, 2.533, 0.000], [0.000, 0.000, 11.113]], "species": ["Mn", "Mn", "Mo", "Mo", "N", "N", "N", "N"], "frac_coords": [[0.000, 0.000, 0.000], [0.000, 0.000, 0.500], [0.000, 0.000, 0.250], [0.000, 0.000, 0.750], [0.333, 0.667, 0.133], [0.333, 0.667, 0.367], [0.667, 0.333, 0.633], [0.667, 0.333, 0.867]]}

=====

Record 5
{"formula": "NpO2", "functional": "r²SCAN", "state": "relaxed", "dft_energy_ha_per_atom": -1.3016, "volume_a3_per_cell": 39.9, "spacegroup": "Fm-3m", "ef_ev_per_atom": -3.76, "lattice": [[0.000, 2.711, 2.711], [2.711, 0.000, 2.711], [2.711, 2.711, 0.000]], "species": ["Np", "O", "O"], "frac_coords": [[0.000, 0.000, 0.000], [0.250, 0.250, 0.250], [0.750, 0.750, 0.750]]}

=====

Record 6
{"formula": "MnH11C5NO6", "functional": "r²SCAN", "state": "relaxed", "dft_energy_ha_per_atom": -0.2525, "volume_a3_per_cell": 899.7, "ef_ev_per_atom": -0.73, "lattice": [[-11.533, 5.260, 6.528], [-4.806, -5.358, -4.174], [4.441, -6.729, 3.524]], "species": ["H", "O", "C", "H", "H", "N", "O", "H", "H", "O", "H", "C", "H", "H", "C", "C", "C", "O", "H", "H", "H", "Mn", "H", "H", "O", "C", "Mn", "O", "H", "C", "O", "O", "H", "H", "O", "H", "C", "H", "C", "O", "H", "C", "C", "O", "H", "O", "C", "H", "H", "H", "C", "C", "C", "O", "N", "H", "H", "N", "H", "C", "C", "H", "H", "O", "O", "H", "O", "O", "H", "O", "H", "O", "H", "H", "C", "N", "H", "H", "H", "O", "O", "O", "H", "H", "O", "H", "H", "C", "H", "H", "H", "Mn", "Mn", "C", "O", "H"], "frac_coords": [[0.238, 0.208, 0.933], [0.836, 0.360, 0.831], [0.537, 0.975, 0.760], [0.363, 0.761, 0.247], [0.796, 0.888, 0.906], [0.301, 0.811, 0.264], [0.336, 0.860, 0.831], [0.196, 0.158, 0.491], [0.738, 0.292, 0.433], [0.044, 0.518, 0.629], [0.030, 0.043, 0.731], [0.805, 0.758, 0.922], [0.130, 0.179, 0.616], [0.796, 0.112, 0.406], [0.696, 0.721, 0.600], [0.973, 0.972, 0.753], [0.196, 0.779, 0.100], [0.547, 0.833, 0.815], [0.248, 0.346, 0.249], [0.630, 0.679, 0.616], [0.248, 0.654, 0.749], [0.997, 0.253, 0.997], [0.814, 0.565, 0.783], [0.630, 0.321, 0.116], [0.047, 0.333, 0.815], [0.246, 0.787, 0.747], [0.997, 0.747, 0.497], [0.655, 0.644, 0.163], [0.189, 0.650, 0.077], [0.037, 0.525, 0.260], [0.336, 0.140, 0.331], [0.155, 0.144, 0.163], [0.296, 0.388, 0.906], [0.189, 0.350, 0.577], [0.155, 0.856, 0.663], [0.696, 0.342, 0.991], [0.696, 0.279, 0.100], [0.383, 0.230, 0.038], [0.805, 0.242, 0.422], [0.047, 0.667, 0.315], [0.748, 0.846, 0.249], [0.537, 0.025, 0.260], [0.473, 0.528, 0.253], [0.945, 0.835, 0.679], [0.521, 0.069, 0.833], [0.445, 0.665, 0.179], [0.246, 0.213, 0.247], [0.314, 0.935, 0.283], [0.883, 0.730, 0.038], [0.863, 0.261, 0.247], [0.196, 0.221, 0.600], [0.973, 0.028, 0.253], [0.305, 0.742, 0.422], [0.945, 0.165, 0.179], [0.801, 0.311, 0.264], [0.530, 0.543, 0.731], [0.883, 0.270, 0.538], [0.301, 0.189, 0.764], [0.748, 0.154, 0.749], [0.037, 0.475, 0.760], [0.746, 0.713, 0.247], [0.689, 0.150, 0.077], [0.030, 0.957, 0.231], [0.445, 0.335, 0.679], [0.655, 0.356, 0.663], [0.238, 0.792, 0.433], [0.836, 0.640, 0.331], [0.547, 0.167, 0.315], [0.314, 0.065, 0.783], [0.044, 0.482, 0.129], [0.863, 0.739, 0.747], [0.544, 0.982, 0.129], [0.296, 0.612, 0.406], [0.696, 0.658, 0.491], [0.746, 0.287, 0.747], [0.801, 0.689, 0.764], [0.383, 0.770, 0.538], [0.530, 0.457, 0.231], [0.130, 0.821, 0.116], [0.940, 0.971, 0.350], [0.440, 0.529, 0.850], [0.544, 0.018, 0.629], [0.738, 0.708, 0.933], [0.021, 0.569, 0.833], [0.440, 0.471, 0.350], [0.521, 0.931, 0.333], [0.689, 0.850, 0.577], [0.473, 0.472, 0.753], [0.363, 0.239, 0.747], [0.196, 0.842, 0.991], [0.814, 0.435, 0.283], [0.497, 0.247, 0.497], [0.497, 0.753, 0.997], [0.305, 0.258, 0.922], [0.940, 0.029, 0.850], [0.021, 0.431, 0.333]]}

=====

Record 7
{"formula": "U3O8", "functional": "r²SCAN", "state": "relaxed", "dft_energy_ha_per_atom": -1.0897, "e_above_lowest_polymorph_ev_per_atom": 0.0031, "volume_a3_per_cell": 167.5, "spacegroup": "Cmmm", "ef_ev_per_atom": -3.51, "lattice": [[3.533, -5.733, 0.000], [3.533, 5.733, 0.000], [0.000, 0.000, 4.136]], "species": ["U", "U", "U", "O", "O", "O", "O", "O", "O", "O", "O"], "frac_coords": [[0.000, 0.000, 0.000], [0.319, 0.681, 0.000], [0.681, 0.319, 0.000], [0.000, 0.000, 0.500], [0.038, 0.325, 0.000], [0.315, 0.685, 0.500], [0.325, 0.038, 0.000], [0.500, 0.500, 0.000], [0.675, 0.962, 0.000], [0.685, 0.315, 0.500], [0.962, 0.675, 0.000]]}

=====

Record 8
{"formula": "KAlH6O2F6", "functional": "r²SCAN", "state": "relaxed", "dft_energy_ha_per_atom": -0.2288, "volume_a3_per_cell": 628.7, "spacegroup": "Pa-3", "ef_ev_per_atom": -2.21, "lattice": [[8.567, 0.000, 0.000], [0.000, 8.567, 0.000], [0.000, 0.000, 8.567]], "species": ["K", "K", "K", "K", "Al", "Al", "Al", "Al", "H", "H", "H", "H", "H", "H", "H", "H", "H", "H", "H", "H", "H", "H", "H", "H", "H", "H", "H", "H", "H", "H", "H", "H", "O", "O", "O", "O", "O", "O", "O", "O", "F", "F", "F", "F", "F", "F", "F", "F", "F", "F", "F", "F", "F", "F", "F", "F", "F", "F", "F", "F", "F", "F", "F", "F"], "frac_coords": [[0.000, 0.000, 0.000], [0.000, 0.500, 0.500], [0.500, 0.000, 0.500], [0.500, 0.500, 0.000], [0.000, 0.000, 0.500], [0.000, 0.500, 0.000], [0.500, 0.000, 0.000], [0.500, 0.500, 0.500], [0.138, 0.200, 0.701], [0.138, 0.300, 0.201], [0.200, 0.701, 0.138], [0.200, 0.799, 0.638], [0.201, 0.138, 0.300], [0.201, 0.362, 0.800], [0.299, 0.638, 0.300], [0.299, 0.862, 0.800], [0.300, 0.201, 0.138], [0.300, 0.299, 0.638], [0.362, 0.700, 0.701], [0.362, 0.800, 0.201], [0.638, 0.200, 0.799], [0.638, 0.300, 0.299], [0.700, 0.701, 0.362], [0.700, 0.799, 0.862], [0.701, 0.138, 0.200], [0.701, 0.362, 0.700], [0.799, 0.638, 0.200], [0.799, 0.862, 0.700], [0.800, 0.201, 0.362], [0.800, 0.299, 0.862], [0.862, 0.700, 0.799], [0.862, 0.800, 0.299], [0.195, 0.195, 0.195], [0.195, 0.305, 0.695], [0.305, 0.695, 0.195], [0.305, 0.805, 0.695], [0.695, 0.195, 0.305], [0.695, 0.305, 0.805], [0.805, 0.695, 0.305], [0.805, 0.805, 0.805], [0.049, 0.059, 0.697], [0.049, 0.441, 0.197], [0.059, 0.697, 0.049], [0.059, 0.803, 0.549], [0.197, 0.049, 0.441], [0.197, 0.451, 0.941], [0.303, 0.549, 0.441], [0.303, 0.951, 0.941], [0.441, 0.197, 0.049], [0.441, 0.303, 0.549], [0.451, 0.559, 0.697], [0.451, 0.941, 0.197], [0.549, 0.059, 0.803], [0.549, 0.441, 0.303], [0.559, 0.697, 0.451], [0.559, 0.803, 0.951], [0.697, 0.049, 0.059], [0.697, 0.451, 0.559], [0.803, 0.549, 0.059], [0.803, 0.951, 0.559], [0.941, 0.197, 0.451], [0.941, 0.303, 0.951], [0.951, 0.559, 0.803], [0.951, 0.941, 0.303]]}

=====

Record 9
{"formula": "CaGaSn", "functional": "r²SCAN", "state": "relaxed", "dft_energy_ha_per_atom": -0.5513, "volume_a3_per_cell": 308.3, "spacegroup": "P6_3/mmc", "ef_ev_per_atom": -0.59, "lattice": [[4.472, 0.000, 0.000], [-2.236, 3.873, 0.000], [0.000, 0.000, 17.803]], "species": ["Ca", "Ca", "Ca", "Ca", "Ga", "Ga", "Ga", "Ga", "Sn", "Sn", "Sn", "Sn"], "frac_coords": [[0.000, 0.000, 0.000], [0.000, 0.000, 0.250], [0.000, 0.000, 0.500], [0.000, 0.000, 0.750], [0.333, 0.667, 0.167], [0.333, 0.667, 0.333], [0.667, 0.333, 0.667], [0.667, 0.333, 0.833], [0.333, 0.667, 0.615], [0.333, 0.667, 0.885], [0.667, 0.333, 0.115], [0.667, 0.333, 0.385]]}

=====

Record 10
{"formula": "CsReO4", "functional": "r²SCAN", "state": "relaxed", "dft_energy_ha_per_atom": -0.6936, "volume_a3_per_cell": 257.1, "spacegroup": "I4_1/amd", "ef_ev_per_atom": -1.97, "lattice": [[-2.952, 2.952, 7.375], [2.952, -2.952, 7.375], [2.952, 2.952, -7.375]], "species": ["Cs", "Cs", "Re", "Re", "O", "O", "O", "O", "O", "O", "O", "O"], "frac_coords": [[0.375, 0.625, 0.750], [0.625, 0.375, 0.250], [0.125, 0.875, 0.250], [0.875, 0.125, 0.750], [0.185, 0.193, 0.992], [0.193, 0.185, 0.492], [0.193, 0.700, 0.008], [0.300, 0.807, 0.492], [0.700, 0.193, 0.508], [0.807, 0.300, 0.992], [0.807, 0.815, 0.508], [0.815, 0.807, 0.008]]}

=====

Record 11
{"formula": "UBi2O6", "functional": "r²SCAN", "state": "relaxed", "dft_energy_ha_per_atom": -1.0339, "volume_a3_per_cell": 124.4, "spacegroup": "P-3m1", "ef_ev_per_atom": -2.27, "lattice": [[3.893, 0.000, 0.000], [-1.947, 3.372, 0.000], [0.000, 0.000, 9.474]], "species": ["U", "Bi", "Bi", "O", "O", "O", "O", "O", "O"], "frac_coords": [[0.000, 0.000, 0.000], [0.333, 0.667, 0.341], [0.667, 0.333, 0.659], [0.000, 0.000, 0.210], [0.000, 0.000, 0.790], [0.333, 0.667, 0.053], [0.333, 0.667, 0.585], [0.667, 0.333, 0.415], [0.667, 0.333, 0.947]]}

=====

Record 12
{"formula": "PmDyZn2", "functional": "r²SCAN", "state": "relaxed", "dft_energy_ha_per_atom": -0.7421, "volume_a3_per_cell": 92.8, "spacegroup": "Fm-3m", "ef_ev_per_atom": -0.36, "lattice": [[0.000, 3.594, 3.594], [3.594, 0.000, 3.594], [3.594, 3.594, 0.000]], "species": ["Pm", "Dy", "Zn", "Zn"], "frac_coords": [[0.000, 0.000, 0.000], [0.500, 0.500, 0.500], [0.250, 0.250, 0.250], [0.750, 0.750, 0.750]]}

=====

Record 13
{"formula": "Nd3Re2O9", "functional": "r²SCAN", "state": "relaxed", "dft_energy_ha_per_atom": -0.7517, "volume_a3_per_cell": 375.5, "spacegroup": "P-1", "ef_ev_per_atom": -2.82, "lattice": [[5.602, 0.000, 0.000], [2.450, 6.355, 0.000], [2.771, 1.592, 10.549]], "species": ["Nd", "Nd", "Nd", "Nd", "Nd", "Nd", "Re", "Re", "Re", "Re", "O", "O", "O", "O", "O", "O", "O", "O", "O", "O", "O", "O", "O", "O", "O", "O", "O", "O"], "frac_coords": [[0.004, 0.222, 0.271], [0.225, 0.160, 0.883], [0.286, 0.595, 0.377], [0.714, 0.405, 0.623], [0.775, 0.840, 0.117], [0.996, 0.778, 0.729], [0.356, 0.123, 0.571], [0.487, 0.612, 0.908], [0.513, 0.388, 0.092], [0.644, 0.877, 0.429], [0.065, 0.114, 0.715], [0.101, 0.246, 0.465], [0.137, 0.812, 0.938], [0.178, 0.508, 0.193], [0.302, 0.420, 0.588], [0.354, 0.475, 0.817], [0.384, 0.813, 0.586], [0.390, 0.168, 0.073], [0.407, 0.935, 0.314], [0.593, 0.065, 0.686], [0.610, 0.832, 0.927], [0.616, 0.187, 0.414], [0.646, 0.525, 0.183], [0.698, 0.580, 0.412], [0.822, 0.492, 0.807], [0.863, 0.188, 0.062], [0.899, 0.754, 0.535], [0.935, 0.886, 0.285]]}

=====

Record 14
{"formula": "YbPm3", "functional": "r²SCAN", "state": "relaxed", "dft_energy_ha_per_atom": -1.1488, "e_above_lowest_polymorph_ev_per_atom": 0.0124, "volume_a3_per_cell": 132.8, "spacegroup": "I4/mmm", "ef_ev_per_atom": 0.03, "lattice": [[-2.553, 2.553, 5.092], [2.553, -2.553, 5.092], [2.553, 2.553, -5.092]], "species": ["Yb", "Pm", "Pm", "Pm"], "frac_coords": [[0.000, 0.000, 0.000], [0.250, 0.750, 0.500], [0.500, 0.500, 0.000], [0.750, 0.250, 0.500]]}